Fe7O7F | GGA+U | optimized geometry

Cell: 3.538 3.538 17.634 Å, 90.00 90.00 119.67°
Element x y z (fractional)
Fe1 0.670 0.330 0.872
O1 0.664 0.336 0.000
O2 0.665 0.335 0.258
Fe2 0.340 0.660 0.745
Fe3 0.670 0.330 0.612
F1 0.668 0.332 0.500
O3 0.321 0.679 0.872
Fe4 0.340 0.660 0.255
O4 0.665 0.335 0.742
Fe5 0.670 0.330 0.128
O5 0.336 0.664 0.623
Fe6 0.341 0.659 0.000
O6 0.321 0.679 0.128
Fe7 0.670 0.330 0.388
O7 0.336 0.664 0.377

---

Fe2OF3 | GGA+U | optimized geometry

Properties
Energy above the most stable polymorph in this dataset   82 meV per atom

Cell: 4.814 6.319 10.110 Å, 107.83 93.33 89.51°
Element x y z (fractional)
Fe1 0.000 0.500 0.000
O1 0.297 0.559 0.151
Fe2 0.000 0.000 0.000
Fe3 0.968 0.247 0.482
F1 0.715 0.666 0.360
O2 0.684 0.187 0.337
F2 0.285 0.334 0.640
Fe4 0.032 0.753 0.518
Fe5 0.499 0.383 0.248
O3 0.703 0.441 0.849
Fe6 0.501 0.129 0.750
F3 0.811 0.790 0.100
F4 0.809 0.049 0.595
O4 0.316 0.813 0.663
Fe7 0.499 0.871 0.250
F5 0.204 0.692 0.903
F6 0.301 0.087 0.146
Fe8 0.501 0.617 0.752
F7 0.798 0.548 0.600
F8 0.699 0.913 0.854
F9 0.202 0.452 0.400
F10 0.191 0.951 0.405
F11 0.796 0.308 0.097
F12 0.189 0.210 0.900

---

Fe5O8F2 | GGA+U | optimized geometry

Properties
Energy above the most stable polymorph in this dataset   10 meV per atom

Cell: 15.073 4.647 4.650 Å, 88.40 90.00 90.00°
Element x y z (fractional)
O1 0.000 0.313 0.674
Fe1 0.104 0.490 0.502
Fe2 0.399 0.999 0.001
O2 0.796 0.308 0.703
F1 0.700 0.203 0.208
Fe3 0.500 0.474 0.475
Fe4 0.601 0.999 0.001
O3 0.202 0.695 0.313
O4 0.098 0.190 0.185
O5 0.400 0.691 0.309
O6 0.600 0.691 0.309
F2 0.500 0.794 0.795
F3 0.000 0.696 0.292
Fe5 0.301 0.523 0.526
O7 0.904 0.806 0.798
F4 0.300 0.203 0.208
O8 0.600 0.306 0.693
O9 0.902 0.190 0.185
O10 0.299 0.817 0.822
O11 0.400 0.306 0.693
Fe6 0.805 0.990 0.996
O12 0.500 0.176 0.178
Fe7 0.896 0.490 0.502
O13 0.096 0.806 0.798
Fe8 0.699 0.523 0.526
O14 0.701 0.817 0.822
Fe9 0.000 0.014 0.976
O15 0.798 0.695 0.313
Fe10 0.195 0.990 0.996
O16 0.204 0.308 0.703

---

Fe6O5F7 | GGA+U | optimized geometry

Properties
Energy above the most stable polymorph in this dataset   9 meV per atom

Cell: 5.700 5.700 7.703 Å, 69.46 69.46 69.28°
Element x y z (fractional)
F1 0.905 0.574 0.962
O1 0.637 0.697 0.331
F2 0.233 0.896 0.627
F3 0.104 0.767 0.373
O2 0.337 0.663 0.000
O3 0.037 0.292 0.334
Fe1 0.005 0.659 0.669
Fe2 0.352 0.996 0.827
F4 0.776 0.437 0.695
Fe3 0.004 0.648 0.173
F5 0.958 0.042 0.000
Fe4 0.669 0.331 0.500
Fe5 0.341 0.995 0.331
Fe6 0.643 0.357 0.000
F6 0.426 0.095 0.038
O4 0.303 0.363 0.669
O5 0.708 0.963 0.666
F7 0.563 0.224 0.305

---

| no. | raw total energy (eV/atom) | energy of formation from the pure elements (eV per atom) | ρ (g/cm3) |
| --- | --- | --- | --- |
| 1 | -6.5110 | -1.53 | 4.5 |
| 2 | -5.7468 | -2.24 | 4.2 |
| 3 | -6.1107 | -1.57 | 4.5 |
| 4 | -5.9224 | -2.10 | 4.3 |